63
Lattice="8.614 0.000 0.000 0.000 8.644 0.000 0.000 0.000 8.479" Properties=species:S:1:pos:R:3 comment="KLiMg30O31 | the Materials Project | PBE-GGA | optimized geometry" crystal_system=orthorhombic vol_a3_per_fu=631 pbc="T T T"
K 0.000 0.000 0.000
Li 4.307 0.000 0.572
Mg 0.000 0.000 4.542
Mg 0.000 2.131 2.539
Mg 0.000 2.396 6.860
Mg 0.000 4.322 0.550
Mg 0.000 4.322 4.687
Mg 0.000 6.248 6.860
Mg 0.000 6.513 2.539
Mg 2.146 2.138 4.728
Mg 2.146 6.506 4.728
Mg 2.163 4.322 2.607
Mg 2.177 0.000 2.513
Mg 2.190 4.322 6.862
Mg 2.204 2.144 0.504
Mg 2.204 6.500 0.504
Mg 2.413 0.000 6.902
Mg 4.307 0.000 4.697
Mg 4.307 2.131 2.586
Mg 4.307 2.165 6.875
Mg 4.307 4.322 0.512
Mg 4.307 4.322 4.714
Mg 4.307 6.480 6.875
Mg 4.307 6.513 2.586
Mg 6.201 0.000 6.902
Mg 6.411 2.144 0.504
Mg 6.411 6.500 0.504
Mg 6.424 4.322 6.862
Mg 6.437 0.000 2.513
Mg 6.451 4.322 2.607
Mg 6.468 2.138 4.728
Mg 6.468 6.506 4.728
O 0.000 0.000 2.594
O 0.000 2.109 4.788
O 0.000 2.343 0.463
O 0.000 4.322 2.652
O 0.000 4.322 6.789
O 0.000 6.302 0.463
O 0.000 6.536 4.788
O 2.073 0.000 4.810
O 2.091 2.104 6.859
O 2.091 6.540 6.859
O 2.146 2.153 2.620
O 2.141 4.322 4.751
O 2.146 6.491 2.620
O 2.169 4.322 0.478
O 2.339 0.000 0.465
O 4.307 0.000 2.702
O 4.307 0.000 6.718
O 4.307 2.166 4.750
O 4.307 2.264 0.474
O 4.307 4.322 2.639
O 4.307 4.322 6.819
O 4.307 6.381 0.474
O 4.307 6.479 4.750
O 6.275 0.000 0.465
O 6.446 4.322 0.478
O 6.468 2.153 2.620
O 6.473 4.322 4.751
O 6.468 6.491 2.620
O 6.523 2.104 6.859
O 6.523 6.540 6.859
O 6.541 0.000 4.810



72
Lattice="6.950 -6.431 0.000 6.950 6.431 0.000 -0.080 0.000 18.786" Properties=species:S:1:pos:R:3 comment="AlPO4 | the Materials Project | PBE-GGA | optimized geometry" crystal_system=monoclinic vol_a3_per_fu=140 pbc="T T T"
Al 1.514 0.500 6.276
Al 5.248 3.523 17.628
Al 3.141 1.227 10.338
Al 1.474 -0.500 15.669
Al 3.180 -1.227 0.945
Al 8.533 3.523 10.551
Al 5.288 -3.523 8.235
Al 10.640 1.227 17.841
Al 12.347 0.500 3.117
Al 10.680 -1.227 8.448
Al 8.573 -3.523 1.158
Al 12.307 -0.500 12.510
P 1.608 0.410 3.109
P 5.362 3.470 10.570
P 3.109 1.247 17.770
P 1.568 -0.410 12.502
P 3.149 -1.247 8.377
P 8.419 3.470 17.608
P 5.402 -3.470 1.177
P 10.671 1.247 10.408
P 12.253 0.410 6.284
P 10.711 -1.247 1.015
P 8.459 -3.470 8.216
P 12.213 -0.410 15.677
O 4.987 4.642 16.305
O 0.125 0.027 2.924
O 0.086 -0.027 12.317
O 4.812 4.279 0.341
O 4.925 4.256 9.317
O 5.142 4.320 11.839
O 1.969 0.481 4.596
O 2.436 0.667 11.838
O 2.491 0.631 16.513
O 4.333 2.066 17.343
O 4.557 2.174 10.703
O 1.930 -0.481 13.988
O 2.476 -0.667 2.445
O 2.531 -0.631 7.120
O 3.571 0.145 18.744
O 6.844 3.103 10.428
O 6.937 3.103 17.751
O 3.610 -0.145 9.351
O 8.794 4.642 11.874
O 8.639 4.320 16.340
O 8.936 4.256 0.075
O 9.048 4.279 9.052
O 4.373 -2.066 7.950
O 4.597 -2.174 1.310
O 9.224 2.174 17.476
O 9.448 2.066 10.836
O 4.773 -4.279 9.734
O 4.885 -4.256 18.710
O 5.181 -4.320 2.446
O 5.026 -4.642 6.912
O 10.210 0.145 9.435
O 6.884 -3.103 1.035
O 6.977 -3.103 8.358
O 10.250 -0.145 0.042
O 11.290 0.631 11.666
O 11.344 0.667 16.341
O 11.891 0.481 4.797
O 9.264 -2.174 8.083
O 9.488 -2.066 1.443
O 11.330 -0.631 2.273
O 11.384 -0.667 6.948
O 11.851 -0.481 14.190
O 8.679 -4.320 6.947
O 8.896 -4.256 9.468
O 9.008 -4.279 18.445
O 13.735 0.027 6.469
O 13.695 -0.027 15.862
O 8.834 -4.642 2.481



So what do the calculations give for total DFT energy (no corrections)? Going down the list: -5.821, -7.476 eV per atom.
So what do the calculations give for E (MP2020)? Going down the list: -388.01, -571.25 eV/cell.
So what do the calculations give for ΔE_f? Going down the list: -2914, -3109 meV per atom.